1 | Compound: SiNi3Mo2
Source: the Materials Project database
Functional: PBE
Structure: relaxed

```
SiNi3Mo2
1.0
2.373 -4.110 0.000
2.373 4.110 0.000
0.000 0.000 7.534
Ni Mo Si
6 4 2
Direct
0.661 0.830 0.750
0.170 0.830 0.750
0.339 0.170 0.250
0.830 0.170 0.250
0.170 0.339 0.750
0.830 0.661 0.250
0.667 0.333 0.936
0.333 0.667 0.436
0.667 0.333 0.564
0.333 0.667 0.064
0.000 0.000 0.000
0.000 0.000 0.500
```

Output
SG = No. 194
crystal system = hexagonal

2 | Compound: SiNi3Mo2
Source: the Materials Project database
Functional: PBE
Structure: relaxed

```
SiNi3Mo2
1.0
2.751 3.788 0.582
-4.651 0.592 -0.521
-0.904 -0.497 7.500
Ni Mo Si
6 4 2
Direct
0.339 0.169 0.500
0.831 0.661 0.500
0.993 0.007 0.241
0.182 0.818 0.000
0.830 0.170 0.500
0.993 0.007 0.759
0.663 0.337 0.811
0.335 0.665 0.317
0.663 0.337 0.189
0.335 0.665 0.683
0.171 0.336 0.000
0.664 0.829 0.000
```

Output
SG = No. 38
crystal system = orthorhombic
size of the total moment = 0.0 μB per formula unit

Here are the energies relative to the best structure, in eV/atom: 1 0.000; 2 0.070.

1 | Compound: MoPRu
Source: the Materials Project database
Functional: PBE
Structure: relaxed

```
MoPRu
1.0
-3.790 0.854 0.362
-1.165 -3.006 -5.113
-0.970 -5.859 3.665
P Mo Ru
4 4 4
Direct
0.250 0.756 0.617
0.750 0.244 0.383
0.250 0.256 0.883
0.750 0.744 0.117
0.250 0.526 0.331
0.750 0.974 0.831
0.750 0.474 0.669
0.250 0.026 0.169
0.750 0.859 0.432
0.250 0.641 0.932
0.750 0.359 0.068
0.250 0.141 0.568
```

Output
SG = No. 62
crystal system = orthorhombic

2 | Compound: MoPRu
Source: the Materials Project database
Functional: PBE
Structure: relaxed

```
MoPRu
1.0
3.038 -5.262 0.000
3.038 5.262 0.000
0.000 0.000 3.892
P Mo Ru
3 3 3
Direct
0.667 0.333 0.000
0.000 0.000 0.500
0.333 0.667 0.000
0.594 0.594 0.500
0.406 0.000 0.500
0.000 0.406 0.500
0.261 0.261 0.000
0.739 0.000 0.000
0.000 0.739 0.000
```

Output
SG = No. 189
crystal system = hexagonal
size of the total moment = 0.5 μB per formula unit

Here are the energies relative to the best structure, in eV/atom: 1 0.000; 2 0.036.

1 | Compound: Mo3Pt
Source: the Materials Project database
Functional: PBE
Structure: relaxed

```
Mo3Pt
1.0
3.974 0.000 0.000
0.000 3.974 0.000
0.000 0.000 3.974
Mo Pt
3 1
Direct
0.500 0.500 0.000
0.000 0.500 0.500
0.500 0.000 0.500
0.000 0.000 0.000
```

Output
SG = No. 221
crystal system = cubic
size of the total moment = 0.0 μB per formula unit

2 | Compound: Mo3Pt
Source: the Materials Project database
Functional: PBE
Structure: relaxed

```
Mo3Pt
1.0
-0.328 4.892 1.083
-1.784 0.901 -4.607
-4.682 -0.686 1.679
Pt Mo
2 6
Direct
0.500 0.500 0.500
0.000 0.000 0.000
0.000 0.500 0.750
0.250 0.000 0.500
0.000 0.500 0.250
0.750 0.000 0.500
0.500 0.750 0.000
0.500 0.250 0.000
```

Output
SG = No. 223
crystal system = cubic

Here are the energies relative to the best structure, in eV/atom: 1 0.027; 2 0.000.

1 | Compound: Mo3S4
Source: the Materials Project database
Functional: PBE
Structure: relaxed

```
Mo3S4
1.0
6.379 0.000 0.000
-1.597 6.465 0.000
-3.173 -2.517 5.556
Mo S
6 8
Direct
0.977 0.487 0.191
0.549 0.517 0.820
0.715 0.999 0.497
0.023 0.513 0.809
0.285 0.001 0.503
0.451 0.483 0.180
0.531 0.214 0.947
0.054 0.268 0.473
0.946 0.732 0.527
0.445 0.712 0.531
0.555 0.288 0.469
0.469 0.786 0.053
0.985 0.795 0.065
0.015 0.205 0.935
```

Output
SG = No. 2
crystal system = triclinic
size of the total moment = 0.0 μB per formula unit

2 | Compound: Mo3S4
Source: the Materials Project database
Functional: PBE
Structure: relaxed

```
Mo3S4
1.0
-0.918 1.667 -6.209
-6.351 0.539 1.241
1.005 6.194 1.671
S Mo
8 6
Direct
0.133 0.733 0.388
0.221 0.221 0.221
0.612 0.867 0.267
0.779 0.779 0.779
0.388 0.133 0.733
0.867 0.267 0.612
0.733 0.388 0.133
0.267 0.612 0.867
0.212 0.405 0.551
0.788 0.595 0.449
0.551 0.212 0.405
0.449 0.788 0.595
0.595 0.449 0.788
0.405 0.551 0.212
```

Output
SG = No. 148
crystal system = trigonal
size of the total moment = 0.0 μB per formula unit

Here are the energies relative to the best structure, in eV/atom: 1 0.046; 2 0.000.

1 | Compound: Te2MoW3Se4S2
Source: the Materials Project database
Functional: PBE
Structure: relaxed

```
Te2MoW3Se4S2
1.0
-0.426 2.736 -1.874
-2.332 -2.396 0.015
-17.491 17.207 29.086
Te W Mo Se S
2 3 1 4 2
Direct
0.333 0.667 0.708
0.333 0.667 0.607
0.333 0.667 0.470
0.333 0.667 0.094
0.667 0.333 0.658
0.667 0.333 0.282
0.667 0.333 0.138
0.333 0.667 0.326
0.667 0.333 0.050
0.333 0.667 0.238
0.667 0.333 0.510
0.667 0.333 0.430
```

Output
SG = No. 156
crystal system = trigonal
size of the total moment = 0.0 μB per formula unit

2 | Compound: Te2MoW3Se4S2
Source: the Materials Project database
Functional: PBE
Structure: relaxed

```
Te2MoW3Se4S2
1.0
1.670 -2.893 0.000
1.670 2.893 0.000
0.000 0.000 38.075
W Te Se S Mo
3 2 4 2 1
Direct
0.333 0.667 0.658
0.000 0.000 0.470
0.333 0.667 0.282
0.333 0.667 0.144
0.333 0.667 0.044
0.000 0.000 0.614
0.333 0.667 0.426
0.000 0.000 0.702
0.333 0.667 0.514
0.000 0.000 0.322
0.000 0.000 0.242
0.000 0.000 0.094
```

Output
SG = No. 156
crystal system = trigonal
size of the total moment = 0.0 μB per formula unit

Here are the energies relative to the best structure, in eV/atom: 1 0.021; 2 0.000.

1 | Compound: Te2MoW3Se4S2
Source: the Materials Project database
Functional: PBE
Structure: relaxed

```
Te2MoW3Se4S2
1.0
1.673 -2.897 0.000
1.673 2.897 0.000
0.000 0.000 38.124
Se S W Te Mo
4 2 3 2 1
Direct
0.667 0.333 0.138
0.667 0.333 0.514
0.667 0.333 0.426
0.667 0.333 0.050
0.333 0.667 0.322
0.333 0.667 0.242
0.333 0.667 0.470
0.667 0.333 0.658
0.333 0.667 0.094
0.333 0.667 0.608
0.333 0.667 0.708
0.667 0.333 0.282
```

Output
SG = No. 156
crystal system = trigonal
size of the total moment = 0.0 μB per formula unit

2 | Compound: Te2MoW3Se4S2
Source: the Materials Project database
Functional: PBE
Structure: relaxed

```
Te2MoW3Se4S2
1.0
1.670 -2.892 0.000
1.670 2.892 0.000
0.000 0.000 39.669
Se W Te S Mo
4 3 2 2 1
Direct
0.333 0.667 0.428
0.000 0.000 0.325
0.333 0.667 0.512
0.000 0.000 0.240
0.333 0.667 0.283
0.333 0.667 0.658
0.000 0.000 0.470
0.333 0.667 0.140
0.333 0.667 0.045
0.000 0.000 0.619
0.000 0.000 0.696
0.000 0.000 0.092
```

Output
SG = No. 156
crystal system = trigonal
size of the total moment = 0.0 μB per formula unit

3 | Compound: Te2MoW3Se4S2
Source: the Materials Project database
Functional: PBE
Structure: relaxed

```
Te2MoW3Se4S2
1.0
0.755 0.779 -3.162
-3.052 0.649 1.198
11.955 35.008 11.482
Se S Mo W Te
4 2 1 3 2
Direct
0.667 0.333 0.426
0.333 0.667 0.239
0.667 0.333 0.513
0.333 0.667 0.325
0.667 0.333 0.133
0.667 0.333 0.055
0.667 0.333 0.282
0.333 0.667 0.094
0.667 0.333 0.658
0.333 0.667 0.470
0.333 0.667 0.608
0.333 0.667 0.707
```

Output
SG = No. 156
crystal system = trigonal
size of the total moment = 0.0 μB per formula unit

Here are the energies relative to the best structure, in eV/atom: 1 0.037; 2 0.000; 3 0.021.

1 | Compound: Te2MoW3Se4S2
Source: the Materials Project database
Functional: PBE
Structure: relaxed

```
Te2MoW3Se4S2
1.0
1.004 3.099 0.761
-1.456 -1.907 2.332
35.550 -14.131 10.636
Mo W S Te Se
1 3 2 2 4
Direct
0.333 0.667 0.094
0.667 0.333 0.281
0.333 0.667 0.470
0.667 0.333 0.659
0.667 0.333 0.056
0.667 0.333 0.132
0.667 0.333 0.518
0.667 0.333 0.422
0.333 0.667 0.239
0.333 0.667 0.701
0.333 0.667 0.616
0.333 0.667 0.323
```

Output
SG = No. 156
crystal system = trigonal
size of the total moment = 0.0 μB per formula unit

2 | Compound: Te2MoW3Se4S2
Source: the Materials Project database
Functional: PBE
Structure: relaxed

```
Te2MoW3Se4S2
1.0
1.670 -2.892 0.000
1.670 2.892 0.000
0.000 0.000 38.119
W Se Mo Te S
3 4 1 2 2
Direct
0.333 0.667 0.094
0.333 0.667 0.470
0.667 0.333 0.658
0.667 0.333 0.426
0.667 0.333 0.514
0.333 0.667 0.701
0.333 0.667 0.614
0.667 0.333 0.282
0.333 0.667 0.332
0.333 0.667 0.232
0.667 0.333 0.134
0.667 0.333 0.054
```

Output
SG = No. 156
crystal system = trigonal
size of the total moment = 0.0 μB per formula unit

Here are the energies relative to the best structure, in eV/atom: 1 0.035; 2 0.000.

1 | Compound: Te2MoW3Se4S2
Source: the Materials Project database
Functional: PBE
Structure: relaxed

```
Te2MoW3Se4S2
1.0
-1.259 2.472 1.869
-1.386 -3.043 0.098
23.329 -9.706 28.550
W S Se Te Mo
3 2 4 2 1
Direct
0.333 0.667 0.282
0.000 0.000 0.470
0.333 0.667 0.658
0.333 0.667 0.134
0.333 0.667 0.054
0.000 0.000 0.326
0.000 0.000 0.238
0.333 0.667 0.426
0.333 0.667 0.514
0.000 0.000 0.708
0.000 0.000 0.608
0.000 0.000 0.094
```

Output
SG = No. 156
crystal system = trigonal
size of the total moment = 0.0 μB per formula unit

2 | Compound: Te2MoW3Se4S2
Source: the Materials Project database
Functional: PBE
Structure: relaxed

```
Te2MoW3Se4S2
1.0
-2.720 1.282 -1.455
2.112 -1.885 -1.774
-20.103 -31.642 9.697
Te Se Mo S W
2 4 1 2 3
Direct
0.000 0.000 0.331
0.000 0.000 0.232
0.333 0.667 0.137
0.333 0.667 0.427
0.333 0.667 0.050
0.333 0.667 0.513
0.000 0.000 0.094
0.000 0.000 0.618
0.000 0.000 0.697
0.333 0.667 0.282
0.333 0.667 0.658
0.000 0.000 0.470
```

Output
SG = No. 156
crystal system = trigonal
size of the total moment = 0.0 μB per formula unit

Here are the energies relative to the best structure, in eV/atom: 1 0.016; 2 0.000.